1.
Entry from the Materials Project database: crystalline Mg6Si5 at its relaxed geometry (PBE).

Unit cell a=6.7701 b=4.0264 c=15.4449 alpha=90.00 beta=92.90 gamma=90.00
Sites, in units of the cell vectors:
Mg 0.0000 0.0000 0.0000
Mg 0.0176 0.0000 0.2304
Mg 0.0362 0.5000 0.4213
Mg 0.1703 0.5000 0.8600
Mg 0.2075 0.5000 0.6513
Mg 0.2491 0.5000 0.0999
Mg 0.4737 0.0000 0.9764
Mg 0.5172 0.0000 0.1900
Mg 0.5459 0.5000 0.4941
Mg 0.7157 0.5000 0.7124
Mg 0.7600 0.5000 0.1007
Mg 0.8699 0.0000 0.5642
Si 0.0187 0.0000 0.7368
Si 0.2416 0.0000 0.5184
Si 0.3246 0.5000 0.2823
Si 0.3610 0.0000 0.3748
Si 0.3956 0.0000 0.7765
Si 0.5027 0.0000 0.6267
Si 0.7235 0.5000 0.2826
Si 0.7345 0.0000 0.3827
Si 0.7536 0.5000 0.9242
Si 0.7653 0.0000 0.8370

Results
The calculation puts the formation energy at 1.177 eV per formula unit. For the excess energy over the best structure of this formula in the dataset, the calculation gives 74 meV/atom. Its calculated volume is 19.11 A^3/atom.


2.
Entry from the Materials Project database: crystalline Pb2IOF at its relaxed geometry (PBE).

Unit cell a=7.5131 b=7.5131 c=6.0286 alpha=90.00 beta=90.00 gamma=132.88
Sites, in units of the cell vectors:
Pb 0.0925 0.9075 0.7809
Pb 0.4075 0.5925 0.7809
Pb 0.5925 0.4075 0.2191
Pb 0.9075 0.0925 0.2191
I 0.2500 0.7500 0.2413
I 0.7500 0.2500 0.7587
O 0.2500 0.2500 0.0000
O 0.7500 0.7500 0.0000
F 0.2500 0.2500 0.5000
F 0.7500 0.7500 0.5000

Results
The calculation puts the formation energy at -8.262 eV per formula unit. Its calculated volume is 24.93 A^3/atom.


3.
Entry from the Materials Project database: crystalline Sr4CeSm3Nb2Cu4O20 at its relaxed geometry (PBE).

Unit cell a=3.9386 b=3.9386 c=29.0857 alpha=90.00 beta=90.00 gamma=90.00
Sites, in units of the cell vectors:
Sr 0.0000 0.0000 0.0000
Sr 0.0000 0.0000 0.1634
Sr 0.5000 0.5000 0.4939
Sr 0.5000 0.5000 0.6581
Ce 0.0000 0.0000 0.8718
Sm 0.0000 0.0000 0.2869
Sm 0.5000 0.5000 0.3698
Sm 0.5000 0.5000 0.7837
Nb 0.0000 0.0000 0.5777
Nb 0.5000 0.5000 0.0786
Cu 0.0000 0.0000 0.4352
Cu 0.0000 0.0000 0.7213
Cu 0.5000 0.5000 0.2221
Cu 0.5000 0.5000 0.9344
O 0.0000 0.0000 0.5100
O 0.0000 0.0000 0.6472
O 0.0000 0.5000 0.0763
O 0.0000 0.5000 0.2242
O 0.0000 0.5000 0.3282
O 0.0000 0.5000 0.4320
O 0.0000 0.5000 0.5791
O 0.0000 0.5000 0.7289
O 0.0000 0.5000 0.8302
O 0.0000 0.5000 0.9262
O 0.5000 0.0000 0.0763
O 0.5000 0.0000 0.2242
O 0.5000 0.0000 0.3282
O 0.5000 0.0000 0.4320
O 0.5000 0.0000 0.5791
O 0.5000 0.0000 0.7289
O 0.5000 0.0000 0.8302
O 0.5000 0.0000 0.9262
O 0.5000 0.5000 0.0087
O 0.5000 0.5000 0.1458

Results
The calculation puts the formation energy at -96.962 eV per formula unit. Its calculated volume is 13.27 A^3/atom.


4.
Entry from the Materials Project database: crystalline Ce3Os at its relaxed geometry (PBE).

Unit cell a=7.0736 b=9.6894 c=6.1738 alpha=90.00 beta=90.00 gamma=90.00
Sites, in units of the cell vectors:
Ce 0.0370 0.2500 0.1457
Ce 0.1687 0.0593 0.6541
Ce 0.1687 0.4407 0.6541
Ce 0.3313 0.5593 0.1541
Ce 0.3313 0.9407 0.1541
Ce 0.4630 0.7500 0.6457
Ce 0.5370 0.2500 0.3543
Ce 0.6687 0.0593 0.8459
Ce 0.6687 0.4407 0.8459
Ce 0.8313 0.5593 0.3459
Ce 0.8313 0.9407 0.3459
Ce 0.9630 0.7500 0.8543
Os 0.1271 0.7500 0.4252
Os 0.3729 0.2500 0.9252
Os 0.6271 0.7500 0.0748
Os 0.8729 0.2500 0.5748

Results
The calculation puts the formation energy at -0.517 eV per formula unit. Its calculated volume is 26.45 A^3/atom.


5.
Entry from the Materials Project database: crystalline F at its relaxed geometry (PBE).

Unit cell a=6.1029 b=3.6555 c=6.8879 alpha=90.00 beta=96.74 gamma=90.00
Sites, in units of the cell vectors:
F 0.2451 0.1690 0.4054
F 0.2451 0.8310 0.9054
F 0.2549 0.3310 0.5946
F 0.2549 0.6690 0.0946
F 0.7451 0.3310 0.9054
F 0.7451 0.6690 0.4054
F 0.7549 0.1690 0.0946
F 0.7549 0.8310 0.5946

Results
The calculation puts the formation energy at 0.003 eV per formula unit. For the excess energy over the best structure of this formula in the dataset, the calculation gives 3 meV/atom. Its calculated volume is 19.08 A^3/atom.


6.
Entry from the Materials Project database: crystalline LiBH4C2O6F2 at its relaxed geometry (PBE).

Unit cell a=9.6308 b=13.0794 c=5.6856 alpha=90.00 beta=105.68 gamma=90.00
Sites, in units of the cell vectors:
Li 0.2024 0.2486 0.4520
Li 0.2024 0.2514 0.9520
Li 0.7976 0.7486 0.0480
Li 0.7976 0.7514 0.5480
B 0.3236 0.6183 0.9824
B 0.3236 0.8817 0.4824
B 0.6764 0.1183 0.5176
B 0.6764 0.3817 0.0176
H 0.1031 0.0988 0.1774
H 0.1031 0.4012 0.6774
H 0.2688 0.0788 0.2189
H 0.2688 0.4212 0.7189
H 0.3368 0.1013 0.7589
H 0.3368 0.3987 0.2589
H 0.4378 0.1981 0.8173
H 0.4378 0.3019 0.3173
H 0.5622 0.6981 0.6827
H 0.5622 0.8019 0.1827
H 0.6632 0.6013 0.7411
H 0.6632 0.8987 0.2411
H 0.7312 0.5788 0.2811
H 0.7312 0.9212 0.7811
H 0.8969 0.5988 0.3226
H 0.8969 0.9012 0.8226
C 0.0856 0.6588 0.9550
C 0.0856 0.8412 0.4550
C 0.1399 0.5805 0.1631
C 0.1399 0.9195 0.6631
C 0.8601 0.0805 0.3369
C 0.8601 0.4195 0.8369
C 0.9144 0.1588 0.5450
C 0.9144 0.3412 0.0450
O 0.0366 0.1937 0.6088
O 0.0366 0.3063 0.1088
O 0.0700 0.5469 0.2964
O 0.0700 0.9531 0.7964
O 0.1910 0.6789 0.8551
O 0.1910 0.8211 0.3551
O 0.1967 0.1332 0.1951
O 0.1967 0.3668 0.6951
O 0.2736 0.5542 0.1672
O 0.2736 0.9458 0.6672
O 0.3371 0.1760 0.7688
O 0.3371 0.3240 0.2688
O 0.6629 0.6760 0.7312
O 0.6629 0.8240 0.2312
O 0.7264 0.0542 0.3328
O 0.7264 0.4458 0.8328
O 0.8033 0.6332 0.3049
O 0.8033 0.8668 0.8049
O 0.8090 0.1789 0.6449
O 0.8090 0.3211 0.1449
O 0.9300 0.0469 0.2036
O 0.9300 0.4531 0.7036
O 0.9634 0.6937 0.8912
O 0.9634 0.8063 0.3912
F 0.3657 0.5551 0.8165
F 0.3657 0.9449 0.3165
F 0.4343 0.6837 0.1023
F 0.4343 0.8163 0.6023
F 0.5657 0.1837 0.3977
F 0.5657 0.3163 0.8977
F 0.6343 0.0551 0.6835
F 0.6343 0.4449 0.1835

Results
The calculation puts the formation energy at -30.160 eV per formula unit. Its calculated volume is 10.77 A^3/atom.